# 1
Density functional theory data (r2SCAN) for a geometry-optimized Tb7Cu3Te12 structure.

Cell lengths 7.537, 7.540, 14.268 Å; angles 94.99, 95.01, 119.98 degrees
Positions (direct):
Te: 0.379 0.043 0.127
Te: 0.536 0.204 0.617
Tb: 0.417 0.418 0.254
Te: 0.956 0.624 0.874
Te: 0.044 0.379 0.128
Te: 0.799 0.461 0.384
Te: 0.458 0.792 0.385
Cu: 0.863 0.528 0.581
Tb: 0.577 0.582 0.743
Cu: 0.808 0.811 0.427
Cu: 0.473 0.140 0.427
Te: 0.873 0.876 0.617
Te: 0.127 0.131 0.384
Tb: 0.247 0.909 0.744
Te: 0.707 0.707 0.127
Tb: 0.089 0.757 0.254
Te: 0.208 0.539 0.617
Tb: 0.332 0.664 0.997
Tb: 0.750 0.079 0.254
Te: 0.624 0.957 0.873
Te: 0.291 0.291 0.873
Tb: 0.918 0.253 0.744

Calculated values
**DFT formation energy**: -1348 meV per atom
**Symmetry**: P1



# 2
Density functional theory data (r2SCAN) for a geometry-optimized Na2Cr2O7 structure.

Cell lengths 7.655, 9.234, 9.883 Å; angles 76.03, 70.88, 70.47 degrees
Positions (direct):
Cr: 0.298 0.373 0.533
O: 0.330 0.079 0.351
O: 0.243 0.526 0.608
Cr: 0.702 0.627 0.467
O: 0.076 0.332 0.908
Na: 0.975 0.901 0.262
O: 0.598 0.596 0.637
Na: 0.469 0.787 0.821
Cr: 0.207 0.155 0.990
O: 0.702 0.407 0.085
Na: 0.025 0.099 0.738
Cr: 0.678 0.089 0.554
Na: 0.969 0.733 0.645
O: 0.233 0.695 0.159
O: 0.910 0.878 0.842
O: 0.757 0.474 0.392
O: 0.924 0.668 0.092
Cr: 0.170 0.590 0.082
Cr: 0.830 0.410 0.918
O: 0.402 0.404 0.363
O: 0.144 0.864 0.432
O: 0.294 0.917 0.614
O: 0.111 0.314 0.560
O: 0.227 0.018 0.905
O: 0.856 0.136 0.568
Cr: 0.322 0.911 0.446
O: 0.090 0.122 0.158
Cr: 0.793 0.845 0.010
Na: 0.470 0.393 0.778
Na: 0.530 0.607 0.222
O: 0.298 0.593 0.915
O: 0.414 0.177 0.974
O: 0.586 0.823 0.026
O: 0.795 0.586 0.836
O: 0.773 0.982 0.095
O: 0.767 0.305 0.841
O: 0.706 0.083 0.386
Na: 0.531 0.213 0.179
O: 0.205 0.414 0.164
O: 0.537 0.770 0.379
O: 0.670 0.921 0.649
Na: 0.031 0.267 0.355
O: 0.463 0.230 0.621
O: 0.889 0.686 0.440

Calculated values
**DFT formation energy**: -1940 meV per atom
**Energy relative to the lowest polymorph listed for this composition**: 0.00 kcal/mol of atoms
**Symmetry**: P-1



# 3
Density functional theory data (r2SCAN) for a geometry-optimized HfGa2 structure.

Cell lengths 4.028, 4.028, 12.987 Å; angles 98.95, 98.95, 89.99 degrees
Positions (direct):
Ga: 0.714 0.964 0.927
Hf: 0.200 0.450 0.901
Ga: 0.536 0.786 0.573
Ga: 0.126 0.876 0.751
Ga: 0.874 0.124 0.249
Hf: 0.050 0.300 0.599
Ga: 0.464 0.214 0.427
Ga: 0.286 0.036 0.073
Hf: 0.800 0.550 0.099
Hf: 0.950 0.700 0.401
Ga: 0.376 0.626 0.251
Ga: 0.624 0.374 0.749

Calculated values
**DFT formation energy**: -504 meV per atom
**Symmetry**: I4_1/amd



# 4
Density functional theory data (r2SCAN) for a geometry-optimized Yb5Au3 structure.

Cell lengths 8.983, 8.983, 8.983 Å; angles 132.54, 132.54, 69.38 degrees
Positions (direct):
Yb: 0.819 0.319 0.834
Au: 0.863 0.363 0.226
Yb: 0.016 0.181 0.500
Yb: 0.500 0.500 0.000
Yb: 0.484 0.984 0.166
Au: 0.750 0.750 0.000
Au: 0.137 0.637 0.774
Yb: 0.984 0.819 0.500
Yb: 0.181 0.681 0.166
Yb: 0.681 0.516 0.500
Yb: 0.516 0.016 0.834
Au: 0.637 0.863 0.500
Au: 0.250 0.250 0.000
Yb: 0.000 0.000 0.000
Au: 0.363 0.137 0.500
Yb: 0.319 0.484 0.500

Calculated values
**DFT formation energy**: -774 meV per atom
**Symmetry**: I4/mcm



Values for M_tot, Bohr magnetons per cell, ordered as above
0.000 0.000 0.000 0.000